Entry 1:
Material: MgMn2Zn2O6
Method: DFT, PBE with a Hubbard U
State: relaxed

Energy of formation from the pure elements in meV per atom: -2016.1
Total DFT energy (no corrections) in eV/atom: -6.0774
Offset from the most stable computed form in meV/atom: 0

```
MgMn2Zn2O6
1.0
5.2192 0.0000 0.0000
2.6072 4.5308 0.0000
2.5829 1.4791 5.0814
Mg Mn Zn O
1 2 2 6
Cartesian
0.0000 0.0000 0.0000
5.2246 3.0107 0.4209
7.8166 4.5092 2.8250
2.6128 1.4981 1.1750
5.1950 2.9818 3.3177
4.1770 4.4431 4.3038
3.6314 3.1499 1.5688
4.4508 1.3662 4.3140
6.1641 4.3275 1.5403
6.9724 3.1466 4.2923
5.8907 1.5402 1.5552
```

=====

Entry 2:
Material: MgMn4Zn2O8
Method: DFT, PBE with a Hubbard U
State: relaxed

Energy of formation from the pure elements in meV per atom: -1893.6
Total DFT energy (no corrections) in eV/atom: -6.4392
Offset from the most stable computed form in meV/atom: 78

```
MgMn4Zn2O8
1.0
6.2098 0.0000 0.0000
-2.9323 5.5216 0.0000
-2.9396 -1.9725 5.1604
Mg Mn Zn O
1 4 2 8
Cartesian
0.0000 0.0000 0.0000
-2.8400 3.3726 3.4466
-1.2098 3.9208 1.0929
1.5512 3.9234 1.0884
3.1776 1.5280 0.7672
-2.9280 0.1949 3.6568
0.1713 1.2607 2.9290
0.0533 -0.5336 1.9951
-1.3391 -1.1562 4.4410
-1.4927 2.3677 2.3556
-2.8248 1.8056 4.6949
3.1565 -0.1988 1.7832
1.8293 2.1905 2.0917
1.6657 -1.0209 4.6483
0.2831 1.4927 4.9372
```

=====

Entry 3:
Material: MgMn4Zn2O8
Method: DFT, PBE with a Hubbard U
State: relaxed

Energy of formation from the pure elements in meV per atom: -1934.8
Total DFT energy (no corrections) in eV/atom: -6.4803
Offset from the most stable computed form in meV/atom: 37

```
MgMn4Zn2O8
1.0
6.2009 0.0000 0.0000
0.1234 6.2518 0.0000
3.0917 2.9437 4.6500
Mg Mn Zn O
1 4 2 8
Cartesian
0.0000 0.0000 0.0000
4.9479 6.0396 4.1562
6.5991 1.5811 2.3538
8.1323 6.0098 4.2926
6.5861 4.5478 1.9619
3.4755 3.9268 1.9743
3.4451 6.4201 0.7713
3.2929 7.3443 4.1677
1.7076 3.1396 1.7768
1.6166 6.1324 1.5303
3.3186 4.6741 3.8470
6.6842 7.4207 4.4447
6.6762 4.6651 4.1883
5.2430 3.1260 1.8690
5.2434 6.1084 1.7694
```

=====

What did the second record say?
Material: MgMn4Zn2O8
Method: DFT, PBE with a Hubbard U
State: relaxed

Energy of formation from the pure elements in meV per atom: -1893.6
Total DFT energy (no corrections) in eV/atom: -6.4392
Offset from the most stable computed form in meV/atom: 78

```
MgMn4Zn2O8
1.0
6.2098 0.0000 0.0000
-2.9323 5.5216 0.0000
-2.9396 -1.9725 5.1604
Mg Mn Zn O
1 4 2 8
Cartesian
0.0000 0.0000 0.0000
-2.8400 3.3726 3.4466
-1.2098 3.9208 1.0929
1.5512 3.9234 1.0884
3.1776 1.5280 0.7672
-2.9280 0.1949 3.6568
0.1713 1.2607 2.9290
0.0533 -0.5336 1.9951
-1.3391 -1.1562 4.4410
-1.4927 2.3677 2.3556
-2.8248 1.8056 4.6949
3.1565 -0.1988 1.7832
1.8293 2.1905 2.0917
1.6657 -1.0209 4.6483
0.2831 1.4927 4.9372
```

=====

- Which formula does entry 2 have?
  MgMn4Zn2O8